Ba3Na | the Materials Project | meta-GGA r2SCAN | relaxed; total DFT energy (no corrections) = -20.657 eV/atom; M_tot = 0.5 μB/cell; volume = 242.1 Å³ per cell
1.0
-3.5759 -2.8103 4.2616
-0.9082 -4.7698 -3.9076
5.0233 -2.8629 2.3271
Ba Na
3 1
Direct
0.0000 0.5000 0.5000
0.5000 0.0000 0.5000
0.5000 0.5000 0.0000
0.0000 0.0000 0.0000